Below is Te4Mo3WSe2S2 after structural relaxation, with properties calculated at the PBE level. Values from VASP.

Calculated values
MP2020-corrected energy = -79.573 eV per cell
size of the total moment = 0.000 Bohr magnetons per cell
energy relative to the elements = -0.520 eV/atom

Quantum ESPRESSO input file:
```
&SYSTEM
  ibrav = 0, nat = 12, ntyp = 5
/
ATOMIC_SPECIES
Te 127.60 Te.upf
Mo 95.94 Mo.upf
W 183.84 W.upf
Se 78.96 Se.upf
S 32.06 S.upf
CELL_PARAMETERS angstrom
-2.9951 1.6044 0.0305
0.2928 -3.0225 -1.5246
-9.1283 -17.6740 33.2853
ATOMIC_POSITIONS angstrom
Te -3.0136 -5.8349 10.9888
Te -6.4435 -12.4757 23.4955
Te -2.1304 -4.1248 7.7682
Te -5.5612 -10.7673 20.2781
Mo -0.8575 -1.6602 3.1267
Mo -3.3753 -6.4603 8.3727
Mo -6.8055 -13.1018 20.8808
W -4.2872 -8.3007 15.6327
Se -4.7004 -9.0259 13.2047
Se -5.4803 -10.5359 16.0483
S -1.3072 -2.4561 0.8318
S -2.0142 -3.8249 3.4096
```


Below is Cd2GaAgSe4 after structural relaxation, with properties calculated at the PBE level. Values from VASP.

Calculated values
MP2020-corrected energy = -27.337 eV per cell
size of the total moment = 0.000 Bohr magnetons per cell
energy relative to the elements = -0.706 eV/atom

Quantum ESPRESSO input file:
```
&SYSTEM
  ibrav = 0, nat = 8, ntyp = 4
/
ATOMIC_SPECIES
Cd 112.41 Cd.upf
Ga 69.72 Ga.upf
Ag 107.87 Ag.upf
Se 78.96 Se.upf
CELL_PARAMETERS angstrom
4.2845 0.0000 0.0000
0.0000 7.0544 0.0000
0.0000 0.0454 7.5194
ATOMIC_POSITIONS angstrom
Cd 2.1422 7.0449 1.2646
Cd 2.1422 3.3289 6.1529
Ga 0.0000 3.3632 2.5658
Ag 0.0000 7.0136 5.0555
Se 2.1422 4.2404 1.3583
Se 2.1422 0.7283 6.2932
Se 0.0000 0.9348 2.5803
Se 0.0000 4.3465 4.8073
```


Below is SrMg15 after structural relaxation, with properties calculated at the PBE level. Values from VASP.

Calculated values
size of the total moment = 0.001 Bohr magnetons per cell
energy relative to the elements = 0.044 eV/atom

Quantum ESPRESSO input file:
```
&SYSTEM
  ibrav = 0, nat = 16, ntyp = 2
/
ATOMIC_SPECIES
Sr 87.62 Sr.upf
Mg 24.30 Mg.upf
CELL_PARAMETERS angstrom
2.4536 1.9126 5.8315
-2.8524 -5.9320 -0.5999
9.2143 -4.1773 -2.5068
ATOMIC_POSITIONS angstrom
Sr 4.6071 -2.0886 -1.2534
Mg 0.0000 0.0000 0.0000
Mg 3.1906 -5.0646 -1.5009
Mg 1.0257 -1.0517 5.5225
Mg 4.3826 -4.1355 1.3320
Mg -0.1951 -2.0033 2.6211
Mg 2.9969 -7.0172 1.0406
Mg 1.2241 0.9481 2.9196
Mg 1.6616 -2.6994 0.1862
Mg 6.4451 -4.8679 -1.1151
Mg 0.2667 -5.6002 -0.1071
Mg 5.0502 -7.7687 -1.4085
Mg 1.4666 -4.6649 2.7446
Mg 6.2500 -6.8335 1.4432
Mg 3.0218 -1.7617 3.0520
Mg 7.5623 -3.8201 1.8167
```


Below is Ti4Te3N2 after structural relaxation, with properties calculated at the PBE level. Values from VASP.

Calculated values
MP2020-corrected energy = -265.751 eV per cell
size of the total moment = 0.002 Bohr magnetons per cell
energy relative to the elements = -0.973 eV/atom

Quantum ESPRESSO input file:
```
&SYSTEM
  ibrav = 0, nat = 36, ntyp = 3
/
ATOMIC_SPECIES
Ti 47.87 Ti.upf
Te 127.60 Te.upf
N 14.01 N.upf
CELL_PARAMETERS angstrom
6.7488 0.0000 0.0000
0.0000 10.7413 0.0000
0.0000 0.0000 9.7970
ATOMIC_POSITIONS angstrom
Ti 3.9897 2.6853 8.8371
Ti 0.6153 2.6853 5.8584
Ti 2.7591 8.0560 0.9599
Ti 6.1335 8.0560 3.9386
Ti 5.3492 2.6853 3.9739
Ti 1.9748 2.6853 0.9246
Ti 1.3996 8.0560 5.8231
Ti 4.7740 8.0560 8.8724
Ti 4.6620 5.2477 0.5446
Ti 1.2876 0.1230 4.3539
Ti 2.0868 10.6184 9.2524
Ti 5.4613 5.4936 5.4430
Ti 2.0868 5.4936 9.2524
Ti 5.4613 10.6184 5.4430
Ti 4.6620 0.1230 0.5446
Ti 1.2876 5.2477 4.3539
Te 5.9446 2.6853 1.2715
Te 2.5701 2.6853 3.6269
Te 0.8043 8.0560 8.5254
Te 4.1787 8.0560 6.1700
Te 3.9060 6.1569 3.1260
Te 0.5316 9.9551 1.7725
Te 2.8428 0.7863 6.6710
Te 6.2172 4.5844 8.0244
Te 2.8428 4.5844 6.6710
Te 6.2172 0.7863 8.0244
Te 3.9060 9.9551 3.1260
Te 0.5316 6.1569 1.7725
N 3.6310 6.6684 9.4439
N 0.2566 9.4436 5.2515
N 3.1178 1.2977 0.3531
N 6.4923 4.0730 4.5454
N 3.1178 4.0730 0.3531
N 6.4923 1.2977 4.5454
N 3.6310 9.4436 9.4439
N 0.2566 6.6684 5.2515
```


Below is NdTa3O9 after structural relaxation, with properties calculated at the PBE level. Values from VASP.

Calculated values
MP2020-corrected energy = -260.480 eV per cell
size of the total moment = 0.002 Bohr magnetons per cell
energy relative to the elements = -3.490 eV/atom

Quantum ESPRESSO input file:
```
&SYSTEM
  ibrav = 0, nat = 26, ntyp = 3
/
ATOMIC_SPECIES
Nd 144.24 Nd.upf
Ta 180.95 Ta.upf
O 16.00 O.upf
CELL_PARAMETERS angstrom
-6.1009 0.1030 -6.3685
-4.9633 -5.2164 -5.0936
-9.4316 -1.6129 1.6868
ATOMIC_POSITIONS angstrom
Nd -3.6802 -1.6995 -3.8071
Nd -16.8156 -5.0268 -5.9682
Ta -13.5173 -4.1931 -5.4329
Ta -10.7567 -4.2540 -8.1506
Ta -3.2848 -0.8108 -0.4518
Ta -6.9784 -2.5332 -4.3424
Ta -9.7391 -2.4723 -1.6247
Ta -17.2109 -5.9155 -9.3235
O -6.1617 -0.8158 -3.7580
O -5.5321 -2.5567 -5.7311
O -5.6178 -3.3588 -3.1485
O -12.9389 -2.4721 -4.6179
O -4.7158 -0.8064 0.8434
O -12.0990 -4.2137 -6.7846
O -9.8592 -2.4862 -7.6931
O -9.1426 -4.2251 -9.4702
O -11.3531 -2.5012 -0.3050
O -11.2051 -1.5820 -2.7193
O -8.1005 -1.7126 -5.7665
O -12.3953 -5.0137 -4.0088
O -9.2907 -5.1443 -7.0560
O -8.3967 -2.5126 -2.9907
O -7.5569 -4.2542 -5.1574
O -10.6366 -4.2401 -2.0822
O -14.8780 -3.3675 -6.6268
O -14.3341 -5.9106 -6.0173
```


Below is Ho7Te2Au2 after structural relaxation, with properties calculated at the PBE level. Values from VASP.

Calculated values
size of the total moment = 0.001 Bohr magnetons per cell
energy relative to the elements = -0.818 eV/atom

Quantum ESPRESSO input file:
```
&SYSTEM
  ibrav = 0, nat = 22, ntyp = 3
/
ATOMIC_SPECIES
Ho 164.93 Ho.upf
Te 127.60 Te.upf
Au 196.97 Au.upf
CELL_PARAMETERS angstrom
-7.5880 1.2034 5.2943
-6.6663 -2.6251 5.9770
6.3135 4.2556 15.3425
ATOMIC_POSITIONS angstrom
Ho 4.1983 2.8380 10.2483
Ho -12.1391 -0.0042 16.3655
Ho 0.4558 1.7437 9.1635
Ho -8.3966 1.0902 17.4503
Ho 1.5668 2.6231 12.5960
Ho -9.5076 0.2107 14.0178
Ho 1.3703 3.6920 18.8559
Ho -9.3111 -0.8582 7.7579
Ho -2.9499 2.7123 19.1938
Ho -4.9909 0.1216 7.4200
Ho -6.0425 2.3177 21.1565
Ho -1.8983 0.5161 5.4573
Ho -3.9704 1.4169 13.3069
Ho 0.0000 0.0000 0.0000
Te -1.0374 2.2980 14.2886
Te -6.9034 0.5358 12.3252
Te 0.0134 0.5445 3.0354
Te -7.9542 2.2894 23.5783
Au 3.1858 3.5409 15.5572
Au -11.1265 -0.7071 11.0566
Au -2.9113 1.1587 10.4290
Au -5.0295 1.6751 16.1848
```


Below is Nd2PdRu3 after structural relaxation, with properties calculated at the PBE level. Values from VASP.

Calculated values
size of the total moment = 0.000 Bohr magnetons per cell
energy relative to the elements = -0.308 eV/atom

Quantum ESPRESSO input file:
```
&SYSTEM
  ibrav = 0, nat = 6, ntyp = 3
/
ATOMIC_SPECIES
Nd 144.24 Nd.upf
Pd 106.42 Pd.upf
Ru 101.07 Ru.upf
CELL_PARAMETERS angstrom
-3.7774 0.0000 -3.7774
3.7774 -3.7774 0.0000
-3.9437 -3.9437 0.1662
ATOMIC_POSITIONS angstrom
Nd -1.9835 -5.7609 -1.7939
Nd -0.0299 -3.8073 -3.7475
Pd -4.8672 -4.8672 -2.6876
Ru -1.0067 -2.8954 -0.8820
Ru 0.8820 -4.7841 -0.8820
Ru -2.8954 -2.8954 -2.7707
```


Below is Pr2Cu2O5 after structural relaxation, with properties calculated at the PBE level. Values from VASP.

Calculated values
MP2020-corrected energy = -128.916 eV per cell
size of the total moment = 0.812 Bohr magnetons per cell
energy relative to the elements = -2.440 eV/atom

Quantum ESPRESSO input file:
```
&SYSTEM
  ibrav = 0, nat = 18, ntyp = 3
/
ATOMIC_SPECIES
Pr 140.91 Pr.upf
Cu 63.55 Cu.upf
O 16.00 O.upf
CELL_PARAMETERS angstrom
-1.6009 3.5221 0.3743
-4.5007 -1.7502 -2.7812
-4.3673 -2.9323 8.9126
ATOMIC_POSITIONS angstrom
Pr -5.1166 -0.0920 -0.8366
Pr -5.3524 -1.0684 7.3423
Pr -3.8137 0.1470 2.4875
Pr -6.6553 -1.3073 4.0182
Cu -5.3361 -2.5670 1.3312
Cu -3.5319 -2.1155 4.8001
Cu -1.7875 -0.8202 0.0724
Cu -7.0805 -3.8623 6.0590
O -6.0142 -0.7551 1.5636
O -4.4547 -0.4053 4.9421
O -2.4885 0.9763 0.3515
O -7.9805 -2.1367 6.1542
O -1.6344 -0.9949 2.3712
O -7.2336 -3.6875 3.7601
O -3.5249 -1.6284 0.2462
O -5.3431 -3.0541 5.8852
O -4.4340 -2.3412 3.0657
O 0.0000 0.0000 0.0000
```